(1)
# ZnH6 (PBE, relaxed)
data_ZnH6
_space_group_name_H-M_alt 'P n a 21'
_space_group_IT_number 33
_space_group_name_Hall 'P 2c -2n'
_cell_length_a 10.7116
_cell_length_b 5.2556
_cell_length_c 8.8086
_cell_angle_alpha 90.00
_cell_angle_beta 90.00
_cell_angle_gamma 90.00
loop_
_atom_site_label
_atom_site_type_symbol
_atom_site_fract_x
_atom_site_fract_y
_atom_site_fract_z
_atom_site_occupancy
Zn1 Zn 0.0041 0.2114 0.0000 1
H1 H 0.9997 0.2646 0.8297 1
H2 H 0.0150 0.1049 0.1609 1
H3 H 0.0936 0.9917 0.9695 1
H4 H 0.0955 0.5933 0.5431 1
H5 H 0.1657 0.5148 0.9947 1
H6 H 0.1726 0.4748 0.0769 1
# energy relative to the lowest polymorph listed for this composition	2.04	eV/f.u.
# ΔH_f (0 K)	2.2	eV/f.u.
# uncorrected energy	-2.614	eV per atom
# M_tot	0.000	Bohr magnetons per cell

=====

(2)
# K2ZnCl4 (PBE, relaxed)
data_K2ZnCl4
_space_group_name_H-M_alt 'P n a 21'
_space_group_IT_number 33
_space_group_name_Hall 'P 2c -2n'
_cell_length_a 9.0479
_cell_length_b 12.6815
_cell_length_c 7.3978
_cell_angle_alpha 90.00
_cell_angle_beta 90.00
_cell_angle_gamma 90.00
loop_
_atom_site_label
_atom_site_type_symbol
_atom_site_fract_x
_atom_site_fract_y
_atom_site_fract_z
_atom_site_occupancy
K1 K 0.0048 0.1861 0.0000 1
K2 K 0.1324 0.4165 0.4954 1
Zn1 Zn 0.2180 0.0829 0.5049 1
Cl1 Cl 0.0294 0.9383 0.0195 1
Cl2 Cl 0.1613 0.4235 0.0156 1
Cl3 Cl 0.1989 0.6752 0.7615 1
Cl4 Cl 0.2044 0.6752 0.2534 1
# piezoelectric modulus e_max	0.3	C/m2
# ΔH_f (0 K)	-13.9	eV/f.u.
# uncorrected energy	-3.187	eV per atom

=====

(3)
# Ba (PBE, relaxed)
data_Ba
_space_group_name_H-M_alt 'P 6/m m m'
_space_group_IT_number 191
_space_group_name_Hall '-P 6 2'
_cell_length_a 7.3970
_cell_length_b 7.3970
_cell_length_c 4.0713
_cell_angle_alpha 90.00
_cell_angle_beta 90.00
_cell_angle_gamma 120.00
loop_
_atom_site_label
_atom_site_type_symbol
_atom_site_fract_x
_atom_site_fract_y
_atom_site_fract_z
_atom_site_occupancy
Ba1 Ba 0.3333 0.6667 0.0000 1
# energy relative to the lowest polymorph listed for this composition	0.73	eV/f.u.
# ΔH_f (0 K)	0.7	eV/f.u.
# uncorrected energy	-1.191	eV per atom
# M_tot	1.785	Bohr magnetons per cell

=====

(4)
# CuH16C4N10O2 (PBE, relaxed)
data_CuH16C4N10O2
_space_group_name_H-M_alt 'P b c a'
_space_group_IT_number 61
_space_group_name_Hall '-P 2ac 2ab'
_cell_length_a 7.1490
_cell_length_b 7.2418
_cell_length_c 22.5306
_cell_angle_alpha 90.00
_cell_angle_beta 90.00
_cell_angle_gamma 90.00
loop_
_atom_site_label
_atom_site_type_symbol
_atom_site_fract_x
_atom_site_fract_y
_atom_site_fract_z
_atom_site_occupancy
Cu1 Cu 0.0000 0.0000 0.0000 1
H1 H 0.0841 0.0386 0.3620 1
H2 H 0.0991 0.2009 0.7951 1
H3 H 0.1300 0.6621 0.9992 1
H4 H 0.1397 0.0460 0.2160 1
H5 H 0.1498 0.0722 0.4356 1
H6 H 0.1636 0.6788 0.5846 1
H7 H 0.1979 0.7185 0.3080 1
H8 H 0.2109 0.6478 0.6791 1
C1 C 0.0491 0.6882 0.9160 1
C2 C 0.0763 0.0404 0.1273 1
N1 N 0.0106 0.2153 0.1323 1
N2 N 0.0794 0.5055 0.9050 1
N3 N 0.0790 0.7417 0.4699 1
N4 N 0.1041 0.5522 0.5773 1
N5 N 0.1140 0.5436 0.6814 1
O1 O 0.1825 0.1920 0.2874 1
# ΔH_f (0 K)	-11.7	eV/f.u.
# uncorrected energy	-6.027	eV per atom
# M_tot	4.000	Bohr magnetons per cell

=====

(5)
# La2Pd2Pb (PBE, relaxed)
data_La2Pd2Pb
_space_group_name_H-M_alt 'P 4/m b m'
_space_group_IT_number 127
_space_group_name_Hall '-P 4 2ab'
_cell_length_a 8.0426
_cell_length_b 8.0426
_cell_length_c 3.9699
_cell_angle_alpha 90.00
_cell_angle_beta 90.00
_cell_angle_gamma 90.00
loop_
_atom_site_label
_atom_site_type_symbol
_atom_site_fract_x
_atom_site_fract_y
_atom_site_fract_z
_atom_site_occupancy
La1 La 0.1780 0.3220 0.0000 1
Pd1 Pd 0.1240 0.6240 0.5000 1
Pb1 Pb 0.0000 0.0000 0.5000 1
# ΔH_f (0 K)	-4.2	eV/f.u.
# uncorrected energy	-5.631	eV per atom

=====

(6)
# SiO2 (PBE, relaxed)
data_SiO2
_space_group_name_H-M_alt 'C 1 2/c 1'
_space_group_IT_number 15
_space_group_name_Hall '-C 2yc'
_cell_length_a 7.2593
_cell_length_b 12.5335
_cell_length_c 7.2424
_cell_angle_alpha 90.00
_cell_angle_beta 119.96
_cell_angle_gamma 90.00
loop_
_atom_site_label
_atom_site_type_symbol
_atom_site_fract_x
_atom_site_fract_y
_atom_site_fract_z
_atom_site_occupancy
Si1 Si 0.1811 0.1424 0.0731 1
Si2 Si 0.2170 0.4087 0.4610 1
O1 O 0.0000 0.3694 0.2500 1
O2 O 0.0770 0.1297 0.5555 1
O3 O 0.2179 0.4614 0.9822 1
O4 O 0.2290 0.3549 0.6709 1
O5 O 0.2500 0.2500 0.0000 1
# ΔH_f (0 K)	-9.7	eV/f.u.
# uncorrected energy	-7.876	eV per atom

=====

(7)
# Er2RuPt (PBE, relaxed)
data_Er2RuPt
_space_group_name_H-M_alt 'F m -3 m'
_space_group_IT_number 225
_space_group_name_Hall '-F 4 2 3'
_cell_length_a 6.8365
_cell_length_b 6.8365
_cell_length_c 6.8365
_cell_angle_alpha 90.00
_cell_angle_beta 90.00
_cell_angle_gamma 90.00
loop_
_atom_site_label
_atom_site_type_symbol
_atom_site_fract_x
_atom_site_fract_y
_atom_site_fract_z
_atom_site_occupancy
Er1 Er 0.2500 0.2500 0.2500 1
Ru1 Ru 0.0000 0.0000 0.0000 1
Pt1 Pt 0.0000 0.0000 0.5000 1
# ΔH_f (0 K)	-3.4	eV/f.u.
# uncorrected energy	-6.967	eV per atom

=====

(8)
# GaNi2 (PBE, relaxed)
data_GaNi2
_space_group_name_H-M_alt 'P 63/m m c'
_space_group_IT_number 194
_space_group_name_Hall '-P 6c 2c'
_cell_length_a 4.0462
_cell_length_b 4.0462
_cell_length_c 5.0242
_cell_angle_alpha 90.00
_cell_angle_beta 90.00
_cell_angle_gamma 120.00
loop_
_atom_site_label
_atom_site_type_symbol
_atom_site_fract_x
_atom_site_fract_y
_atom_site_fract_z
_atom_site_occupancy
Ga1 Ga 0.3333 0.6667 0.2500 1
Ni1 Ni 0.0000 0.0000 0.0000 1
Ni2 Ni 0.3333 0.6667 0.7500 1
# ΔH_f (0 K)	-1.0	eV/f.u.
# uncorrected energy	-5.190	eV per atom

=====

Which value of ΔH_f (0 K) does entry 3 give? 0.7 eV/f.u.

=====

Which value of ΔH_f (0 K) does entry 2 give? -13.9 eV/f.u.